The following is a DFT calculation (PBE) of Ce4GeS3 after structural relaxation.

## Properties
E_form (eV per atom): -1.91

Cell lengths 7.079, 7.079, 7.079 Å; angles 131.79, 131.79, 70.55 degrees
Fractional coordinates of all 8 atoms:
Ce1 0.000 0.500 0.500
Ce2 0.245 0.245 0.000
Ce3 0.500 0.000 0.500
Ce4 0.755 0.755 0.000
Ge1 0.500 0.500 0.000
S1 0.000 0.000 0.000
S2 0.250 0.750 0.500
S3 0.750 0.250 0.500